No. 1
# AgBi2Se3Cl | Materials Project | PBE | optimized geometry
data_AgBi2Se3Cl
_space_group_name_H-M_alt 'P 1 21/m 1'
_space_group_IT_number 11
_cell_length_a 8.150
_cell_length_b 4.149
_cell_length_c 11.311
_cell_angle_alpha 90.00
_cell_angle_beta 104.19
_cell_angle_gamma 90.00
loop_
_space_group_symop_operation_xyz
'x,y,z'
'-x,-y,-z'
'-x,y+1/2,-z'
'x,-y+1/2,z'
loop_
_atom_site_label
_atom_site_type_symbol
_atom_site_fract_x
_atom_site_fract_y
_atom_site_fract_z
Ag1 Ag 0.047 0.250 0.413
Bi1 Bi 0.191 0.250 0.934
Bi2 Bi 0.467 0.750 0.656
Se1 Se 0.044 0.250 0.150
Se2 Se 0.204 0.250 0.666
Se3 Se 0.310 0.750 0.412
Cl1 Cl 0.403 0.750 0.098
# - E_form: -0.512 eV per atom
# - Theoretical density: 7.1 g/cm³

No. 2
# Cs2AgBiI6 | Materials Project | PBE | optimized geometry
data_Cs2AgBiI6
_space_group_name_H-M_alt 'F m -3 m'
_space_group_IT_number 225
_space_group_name_Hall '-F 4 2 3'
_cell_length_a 12.254
_cell_length_b 12.254
_cell_length_c 12.254
_cell_angle_alpha 90.00
_cell_angle_beta 90.00
_cell_angle_gamma 90.00
loop_
_atom_site_label
_atom_site_type_symbol
_atom_site_fract_x
_atom_site_fract_y
_atom_site_fract_z
Cs1 Cs 0.250 0.250 0.250
Ag1 Ag 0.000 0.000 0.000
Bi1 Bi 0.000 0.000 0.500
I1 I 0.000 0.000 0.247
# - E_form: -1.090 eV per atom
# - Theoretical density: 4.9 g/cm³

No. 3
# CsAg2BiS3 | Materials Project | PBE | optimized geometry
data_CsAg2BiS3
_space_group_name_H-M_alt 'P 1 21/c 1'
_space_group_IT_number 14
_cell_length_a 13.613
_cell_length_b 8.310
_cell_length_c 7.061
_cell_angle_alpha 90.00
_cell_angle_beta 99.62
_cell_angle_gamma 90.00
loop_
_space_group_symop_operation_xyz
'x,y,z'
'-x,-y,-z'
'-x,y+1/2,-z+1/2'
'x,-y+1/2,z+1/2'
loop_
_atom_site_label
_atom_site_type_symbol
_atom_site_fract_x
_atom_site_fract_y
_atom_site_fract_z
Cs1 Cs 0.179 0.115 0.315
Ag1 Ag 0.087 0.748 0.530
Ag2 Ag 0.268 0.640 0.349
Bi1 Bi 0.499 0.132 0.757
S1 S 0.090 0.554 0.278
S2 S 0.378 0.644 0.049
S3 S 0.383 0.128 0.044
# - E_form: -0.692 eV per atom
# - Theoretical density: 5.5 g/cm³

No. 4
# Cu3Ag2Bi7Pb3S16 | Materials Project | PBE | optimized geometry
data_Cu3Ag2Bi7Pb3S16
_space_group_name_H-M_alt 'P 1 21/m 1'
_space_group_IT_number 11
_cell_length_a 12.812
_cell_length_b 4.057
_cell_length_c 29.280
_cell_angle_alpha 90.00
_cell_angle_beta 102.16
_cell_angle_gamma 90.00
loop_
_space_group_symop_operation_xyz
'x,y,z'
'-x,-y,-z'
'-x,y+1/2,-z'
'x,-y+1/2,z'
loop_
_atom_site_label
_atom_site_type_symbol
_atom_site_fract_x
_atom_site_fract_y
_atom_site_fract_z
Cu1 Cu 0.034 0.250 0.260
Cu2 Cu 0.236 0.250 0.758
Cu3 Cu 0.279 0.750 0.236
Ag1 Ag 0.064 0.250 0.948
Ag2 Ag 0.113 0.750 0.550
Bi1 Bi 0.020 0.250 0.647
Bi2 Bi 0.137 0.250 0.144
Bi3 Bi 0.217 0.250 0.453
Bi4 Bi 0.263 0.750 0.045
Bi5 Bi 0.399 0.250 0.944
Bi6 Bi 0.447 0.750 0.556
Bi7 Bi 0.490 0.750 0.808
Pb1 Pb 0.178 0.750 0.839
Pb2 Pb 0.312 0.750 0.340
Pb3 Pb 0.363 0.250 0.672
S1 S 0.022 0.250 0.863
S2 S 0.052 0.250 0.739
S3 S 0.077 0.750 0.463
S4 S 0.112 0.250 0.035
S5 S 0.155 0.250 0.357
S6 S 0.155 0.750 0.635
S7 S 0.194 0.250 0.237
S8 S 0.248 0.750 0.939
S9 S 0.289 0.750 0.139
S10 S 0.304 0.250 0.556
S11 S 0.309 0.750 0.745
S12 S 0.356 0.250 0.846
S13 S 0.378 0.750 0.442
S14 S 0.432 0.250 0.048
S15 S 0.459 0.750 0.247
S16 S 0.492 0.250 0.352
# - E_form: -0.593 eV per atom
# - Theoretical density: 6.7 g/cm³

No. 5
# EuAgBi | Materials Project | PBE | optimized geometry
data_EuAgBi
_space_group_name_H-M_alt 'P 63/m m c'
_space_group_IT_number 194
_space_group_name_Hall '-P 6c 2c'
_cell_length_a 4.9723
_cell_length_b 4.9723
_cell_length_c 8.1365
_cell_angle_alpha 90.00
_cell_angle_beta 90.00
_cell_angle_gamma 120.00
loop_
_atom_site_label
_atom_site_type_symbol
_atom_site_fract_x
_atom_site_fract_y
_atom_site_fract_z
Eu1 Eu 0.0000 0.0000 0.0000
Ag1 Ag 0.3333 0.6667 0.2500
Bi1 Bi 0.3333 0.6667 0.7500
# - E_form: -0.582 eV per atom
# - Theoretical density: 8.9 g/cm³

No. 6
# K2AgBiF6 | Materials Project | PBE | optimized geometry
data_K2AgBiF6
_space_group_name_H-M_alt 'F m -3 m'
_space_group_IT_number 225
_space_group_name_Hall '-F 4 2 3'
_cell_length_a 9.363
_cell_length_b 9.363
_cell_length_c 9.363
_cell_angle_alpha 90.00
_cell_angle_beta 90.00
_cell_angle_gamma 90.00
loop_
_atom_site_label
_atom_site_type_symbol
_atom_site_fract_x
_atom_site_fract_y
_atom_site_fract_z
K1 K 0.250 0.250 0.250
Ag1 Ag 0.000 0.000 0.000
Bi1 Bi 0.000 0.000 0.500
F1 F 0.000 0.000 0.259
# - E_form: -2.511 eV per atom
# - Theoretical density: 4.1 g/cm³

No. 7
# Rb2AgBiF6 | Materials Project | PBE | optimized geometry
data_Rb2AgBiF6
_space_group_name_H-M_alt 'F m -3 m'
_space_group_IT_number 225
_space_group_name_Hall '-F 4 2 3'
_cell_length_a 9.432
_cell_length_b 9.432
_cell_length_c 9.432
_cell_angle_alpha 90.00
_cell_angle_beta 90.00
_cell_angle_gamma 90.00
loop_
_atom_site_label
_atom_site_type_symbol
_atom_site_fract_x
_atom_site_fract_y
_atom_site_fract_z
Rb1 Rb 0.250 0.250 0.250
Ag1 Ag 0.000 0.000 0.000
Bi1 Bi 0.000 0.000 0.500
F1 F 0.000 0.000 0.259
# - E_form: -2.543 eV per atom
# - Theoretical density: 4.8 g/cm³

No. 8
# AgGeBiTe3 | Materials Project | PBE | optimized geometry
data_AgGeBiTe3
_space_group_name_H-M_alt 'I m m 2'
_space_group_IT_number 44
_cell_length_a 4.359
_cell_length_b 6.148
_cell_length_c 13.096
_cell_angle_alpha 90.00
_cell_angle_beta 90.00
_cell_angle_gamma 90.00
loop_
_space_group_symop_operation_xyz
'x,y,z'
'-x,-y,z'
'-x,y,z'
'x,-y,z'
'x+1/2,y+1/2,z+1/2'
'-x+1/2,-y+1/2,z+1/2'
'-x+1/2,y+1/2,z+1/2'
'x+1/2,-y+1/2,z+1/2'
loop_
_atom_site_label
_atom_site_type_symbol
_atom_site_fract_x
_atom_site_fract_y
_atom_site_fract_z
Ag1 Ag 0.000 0.000 0.000
Ge1 Ge 0.000 0.000 0.328
Bi1 Bi 0.000 0.000 0.667
Te1 Te 0.000 0.500 0.338
Te2 Te 0.000 0.500 0.670
Te3 Te 0.000 0.500 0.992
# - E_form: -0.308 eV per atom
# - Theoretical density: 7.3 g/cm³

Calculated volume? In order: 26.49; 46.00; 28.12; 23.99; 29.04; 20.52; 20.98; 29.24 A^3/atom.